This record from Materials Project describes BaSrO2 after structural relaxation. The functional is PBE.

The structure in POSCAR format:
```
BaSrO2
1.0
1.9106 1.1031 6.2570
-1.9106 1.1031 6.2570
0.0000 -2.2061 6.2570
Ba Sr O
1 1 2
Cartesian
0.0000 0.0000 0.0000
0.0000 0.0000 9.3855
0.0000 0.0000 4.5895
0.0000 0.0000 14.1815
```

Results
E above lowest polymorph   0.000 eV/f.u.
Formation energy   -2924 meV/atom
Volume   19.780 Å³/atom